A plane-wave DFT calculation with r²SCAN was carried out for CeMnSi after structural relaxation.

Values from the calculation:
Energy of formation from the pure elements (eV per atom): -0.53
Theoretical density (g/cm³): 5.9

abc: 4.240 4.240 6.952
angles: 90.00 90.00 90.00
Space group P4/nmm (No. 129, origin choice 2)
Unique sites:
Ce1 0.250 0.250 0.173
Mn1 0.250 0.750 0.500
Si1 0.250 0.250 0.709